(1)
Material: Sc2MnSn
Method: DFT, PBE
State: optimized geometry

The structure belongs to space group F-43m (No. 216); the cell edges are 6.7454, 6.7454 and 6.7454 Å and the angles 90.00°, 90.00° and 90.00°. The asymmetric unit holds Sc at (0.0000, 0.0000, 0.0000), Sc at (0.2500, 0.2500, 0.2500), Mn at (0.2500, 0.2500, 0.7500) and Sn at (0.0000, 0.0000, 0.5000).

The total energy is -106.200 eV/cell. The calculation puts the volume at 19.2 A^3/atom.


(2)
Material: Sc6MnTe2
Method: DFT, PBE
State: optimized geometry

The structure belongs to space group P-62m (No. 189); the cell edges are 7.7194, 7.7194 and 3.8738 Å and the angles 90.00°, 90.00° and 120.00°. The asymmetric unit holds Sc at (0.0000, 0.2343, 0.0000), Sc at (0.0000, 0.6195, 0.5000), Mn at (0.0000, 0.0000, 0.5000) and Te at (0.3333, 0.6667, 0.0000).

The total energy is -58.782 eV/cell. The calculation puts the volume at 22.2 A^3/atom.


Q: The highest volume belongs to which entry?
A: Sc6MnTe2